Record 1
VASP calculation (PBE) on a relaxed SiO2 crystal.

Unit cell a=11.354 b=11.354 c=11.354 alpha=101.96 beta=101.96 gamma=125.85
Element x y z (fractional)
Si: 0.111 0.266 0.376
Si: 0.111 0.734 0.845
Si: 0.141 0.641 0.282
Si: 0.141 0.859 0.500
Si: 0.266 0.111 0.376
Si: 0.266 0.889 0.155
Si: 0.359 0.641 0.500
Si: 0.359 0.859 0.718
Si: 0.641 0.141 0.282
Si: 0.641 0.359 0.500
Si: 0.734 0.111 0.845
Si: 0.734 0.889 0.624
Si: 0.859 0.141 0.500
Si: 0.859 0.359 0.718
Si: 0.889 0.266 0.155
Si: 0.889 0.734 0.624
O: 0.000 0.240 0.240
O: 0.000 0.760 0.760
O: 0.010 0.198 0.464
O: 0.010 0.546 0.812
O: 0.085 0.711 0.374
O: 0.168 0.168 0.337
O: 0.168 0.832 0.000
O: 0.198 0.010 0.464
O: 0.198 0.734 0.188
O: 0.240 0.000 0.240
O: 0.266 0.454 0.464
O: 0.266 0.802 0.812
O: 0.289 0.664 0.374
O: 0.289 0.915 0.626
O: 0.336 0.711 0.626
O: 0.454 0.266 0.464
O: 0.454 0.990 0.188
O: 0.546 0.010 0.812
O: 0.546 0.734 0.536
O: 0.664 0.289 0.374
O: 0.711 0.085 0.374
O: 0.711 0.336 0.626
O: 0.734 0.198 0.188
O: 0.734 0.546 0.536
O: 0.760 0.000 0.760
O: 0.802 0.266 0.812
O: 0.802 0.990 0.536
O: 0.832 0.168 0.000
O: 0.832 0.832 0.663
O: 0.915 0.289 0.626
O: 0.990 0.454 0.188
O: 0.990 0.802 0.536

Computed properties:
DFT total energy, eV for the cell shown: -379.461
V, Å³/f.u.: 66.0


Record 2
VASP calculation (PBE) on a relaxed K2Na2Pr2MgNb2O10 crystal.

Unit cell a=5.953 b=5.822 c=8.790 alpha=90.00 beta=96.71 gamma=90.00
Element x y z (fractional)
K: 0.000 0.000 0.000
K: 0.376 0.500 0.065
Na: 0.284 0.000 0.365
Na: 0.896 0.500 0.843
Pr: 0.354 0.500 0.594
Pr: 0.914 0.000 0.605
Mg: 0.651 0.000 0.230
Nb: 0.438 0.000 0.807
Nb: 0.844 0.500 0.330
O: 0.060 0.277 0.442
O: 0.060 0.723 0.442
O: 0.181 0.241 0.777
O: 0.181 0.759 0.777
O: 0.449 0.000 0.036
O: 0.600 0.267 0.363
O: 0.600 0.733 0.363
O: 0.639 0.233 0.734
O: 0.639 0.767 0.734
O: 0.883 0.500 0.122

Computed properties:
DFT total energy, eV for the cell shown: -129.654
Total magnetization, Bohr magnetons per cell: 1.54
V, Å³/f.u.: 302.6


Record 3
VASP calculation (PBE) on a relaxed LuB2Os crystal.

Unit cell a=5.819 b=5.263 c=6.306 alpha=90.00 beta=90.00 gamma=90.00
Element x y z (fractional)
Lu: 0.011 0.250 0.166
Lu: 0.489 0.750 0.666
Lu: 0.511 0.250 0.334
Lu: 0.989 0.750 0.834
B: 0.140 0.582 0.464
B: 0.140 0.918 0.464
B: 0.360 0.082 0.964
B: 0.360 0.418 0.964
B: 0.640 0.582 0.036
B: 0.640 0.918 0.036
B: 0.860 0.082 0.536
B: 0.860 0.418 0.536
Os: 0.177 0.250 0.681
Os: 0.323 0.750 0.181
Os: 0.677 0.250 0.819
Os: 0.823 0.750 0.319

Computed properties:
DFT total energy, eV for the cell shown: -126.641
Total magnetization, Bohr magnetons per cell: 0.00
V, Å³/f.u.: 48.3


Record 4
VASP calculation (PBE) on a relaxed Mg14ZnSb crystal.

Unit cell a=6.336 b=6.336 c=10.299 alpha=90.00 beta=90.00 gamma=120.00
Element x y z (fractional)
Mg: 0.000 0.000 0.250
Mg: 0.000 0.000 0.750
Mg: 0.333 0.166 0.000
Mg: 0.333 0.167 0.500
Mg: 0.500 0.001 0.255
Mg: 0.500 0.001 0.745
Mg: 0.500 0.500 0.255
Mg: 0.500 0.500 0.745
Mg: 0.833 0.167 0.500
Mg: 0.833 0.667 0.500
Mg: 0.834 0.166 0.000
Mg: 0.834 0.667 0.000
Mg: 0.999 0.500 0.255
Mg: 0.999 0.500 0.745
Zn: 0.333 0.667 0.500
Sb: 0.333 0.667 0.000

Computed properties:
DFT total energy, eV for the cell shown: -28.317
Total magnetization, Bohr magnetons per cell: 0.00
V, Å³/f.u.: 358.1


- Which of these has the lowest DFT total energy?
  SiO2